Run i
Compound: Na8TiO6
Source: the Materials Project database
Functional: GGA-PBE
Structure: optimized geometry

## Properties
Piezoelectric modulus e_max ... 0.7 C/m²
Calculated volume ... 14.78 Å³ per atom

Lattice parameters (Å, degrees): 6.6307 9.5925 13.9389 90.00 90.00 90.00
With the nearest neighbours (Å) after each atom.
Atoms (fractional coordinates):
Na: 0.5120 0.7738 0.0126  3 O 2.25-2.32
Na: 0.2729 0.5247 0.0630  4 O 2.28-2.54
Na: 0.9178 0.1896 0.0712  3 O 2.27-2.37
Na: 0.9401 0.8305 0.0773  3 O 2.32-2.34
Na: 0.3366 0.0114 0.1154  4 O 2.31-2.49
Na: 0.5505 0.8178 0.2198  4 O 2.32-2.52
Na: 0.5790 0.1986 0.2291  4 O 2.37-2.56
Na: 0.9211 0.0074 0.2497  3 O 2.28-2.43
Na: 0.4211 0.5074 0.2503  3 O 2.28-2.43
Na: 0.0790 0.6986 0.2709  4 O 2.37-2.56
Na: 0.0505 0.3178 0.2802  4 O 2.32-2.52
Na: 0.8366 0.5114 0.3846  4 O 2.31-2.49
Na: 0.4401 0.3305 0.4227  3 O 2.32-2.34
Na: 0.4178 0.6896 0.4288  3 O 2.27-2.37
Na: 0.7729 0.0247 0.4370  4 O 2.28-2.54
Na: 0.0120 0.2738 0.4874  3 O 2.25-2.32
Na: 0.9880 0.7738 0.5126  3 O 2.25-2.32
Na: 0.2271 0.5247 0.5629  4 O 2.28-2.54
Na: 0.5822 0.1896 0.5712  3 O 2.27-2.37
Na: 0.5599 0.8305 0.5773  3 O 2.32-2.34
Na: 0.1634 0.0114 0.6154  4 O 2.31-2.49
Na: 0.9495 0.8178 0.7198  4 O 2.32-2.52
Na: 0.9210 0.1986 0.7291  4 O 2.37-2.56
Na: 0.5789 0.0074 0.7497  3 O 2.28-2.43
Na: 0.0789 0.5074 0.7503  3 O 2.28-2.43
Na: 0.4210 0.6986 0.7709  4 O 2.37-2.56
Na: 0.4495 0.3178 0.7802  4 O 2.32-2.52
Na: 0.6634 0.5114 0.8846  4 O 2.31-2.49
Na: 0.0599 0.3305 0.9227  3 O 2.32-2.34
Na: 0.0822 0.6896 0.9288  3 O 2.27-2.37
Na: 0.7271 0.0247 0.9370  4 O 2.28-2.54
Na: 0.4880 0.2738 0.9874  3 O 2.25-2.32
Ti: 0.7808 0.5124 0.1235  4 O 1.83-1.86
Ti: 0.2808 0.0124 0.3765  4 O 1.83-1.86
Ti: 0.7192 0.5124 0.6235  4 O 1.83-1.86
Ti: 0.2192 0.0124 0.8765  4 O 1.83-1.86
O: 0.7896 0.6278 0.0168  1 Ti 1.86
O: 0.5582 0.3967 0.1208  1 Ti 1.85
O: 0.7091 0.0055 0.1184  7 Na 2.31-2.56
O: 0.2576 0.7584 0.1262  6 Na 2.32-2.49
O: 0.0078 0.4034 0.1262  1 Ti 1.83
O: 0.7498 0.6167 0.2345  1 Ti 1.85
O: 0.2498 0.1167 0.2655  1 Ti 1.85
O: 0.5078 0.9034 0.3738  1 Ti 1.83
O: 0.7576 0.2584 0.3738  6 Na 2.32-2.49
O: 0.2091 0.5055 0.3816  7 Na 2.31-2.56
O: 0.0582 0.8967 0.3792  1 Ti 1.85
O: 0.2896 0.1278 0.4832  1 Ti 1.86
O: 0.7104 0.6278 0.5168  1 Ti 1.86
O: 0.9418 0.3967 0.6208  1 Ti 1.85
O: 0.7909 0.0055 0.6184  7 Na 2.31-2.56
O: 0.2424 0.7584 0.6262  6 Na 2.32-2.49
O: 0.4922 0.4034 0.6262  1 Ti 1.83
O: 0.7502 0.6167 0.7345  1 Ti 1.85
O: 0.2502 0.1167 0.7655  1 Ti 1.85
O: 0.9922 0.9034 0.8738  1 Ti 1.83
O: 0.7424 0.2584 0.8738  6 Na 2.32-2.49
O: 0.2909 0.5055 0.8816  7 Na 2.31-2.56
O: 0.4418 0.8967 0.8792  1 Ti 1.85
O: 0.2104 0.1278 0.9832  1 Ti 1.86



Run ii
Compound: Na8TiO6
Source: the Materials Project database
Functional: GGA-PBE
Structure: optimized geometry

## Properties
Calculated volume ... 15.24 Å³ per atom

Lattice parameters (Å, degrees): 11.6483 11.6483 11.6749 90.00 90.00 120.00
With the nearest neighbours (Å) after each atom.
Atoms (fractional coordinates):
Na: 0.0000 0.8360 0.9626  3 O 2.19-2.35
Na: 0.0000 0.5212 0.1868  3 O 2.30
Na: 0.1424 0.8054 0.3049  3 O 2.24-2.31
Na: 0.1599 0.7754 0.5754  3 O 2.36-2.43
Na: 0.1946 0.8576 0.8049  3 O 2.24-2.31
Na: 0.0000 0.4788 0.6868  3 O 2.30
Na: 0.2246 0.8401 0.0754  3 O 2.36-2.43
Na: 0.1349 0.5890 0.9352  4 O 2.34-2.47
Na: 0.1349 0.5459 0.4352  4 O 2.34-2.47
Na: 0.0000 0.1640 0.4626  3 O 2.19-2.35
Na: 0.4110 0.8651 0.4352  4 O 2.34-2.47
Na: 0.1424 0.3370 0.8049  3 O 2.24-2.31
Na: 0.1599 0.3846 0.0754  3 O 2.36-2.43
Na: 0.2246 0.3846 0.5754  3 O 2.36-2.43
Na: 0.1946 0.3370 0.3049  3 O 2.24-2.31
Na: 0.4541 0.8651 0.9352  4 O 2.34-2.47
Na: 0.1640 0.1640 0.9626  3 O 2.19-2.35
Na: 0.4110 0.5459 0.9352  4 O 2.34-2.47
Na: 0.1640 0.0000 0.4626  3 O 2.19-2.35
Na: 0.4541 0.5890 0.4352  4 O 2.34-2.47
Na: 0.6154 0.8401 0.5754  3 O 2.36-2.43
Na: 0.4788 0.4788 0.1868  3 O 2.30
Na: 0.6630 0.8576 0.3049  3 O 2.24-2.31
Na: 0.3370 0.1946 0.3049  3 O 2.24-2.31
Na: 0.6154 0.7754 0.0754  3 O 2.36-2.43
Na: 0.3846 0.2246 0.5754  3 O 2.36-2.43
Na: 0.6630 0.8054 0.8049  3 O 2.24-2.31
Na: 0.3370 0.1424 0.8049  3 O 2.24-2.31
Na: 0.5212 0.5212 0.6868  3 O 2.30
Na: 0.3846 0.1599 0.0754  3 O 2.36-2.43
Na: 0.5459 0.4110 0.9352  4 O 2.34-2.47
Na: 0.5890 0.4541 0.4352  4 O 2.34-2.47
Na: 0.8360 0.8360 0.4626  3 O 2.19-2.35
Na: 0.5459 0.1349 0.4352  4 O 2.34-2.47
Na: 0.4788 0.0000 0.6868  3 O 2.30
Na: 0.8054 0.6630 0.8049  3 O 2.24-2.31
Na: 0.7754 0.6154 0.0754  3 O 2.36-2.43
Na: 0.8401 0.6154 0.5754  3 O 2.36-2.43
Na: 0.8576 0.6630 0.3049  3 O 2.24-2.31
Na: 0.5212 0.0000 0.1868  3 O 2.30
Na: 0.5890 0.1349 0.9352  4 O 2.34-2.47
Na: 0.8651 0.4541 0.9352  4 O 2.34-2.47
Na: 0.8651 0.4110 0.4352  4 O 2.34-2.47
Na: 0.7754 0.1599 0.5754  3 O 2.36-2.43
Na: 0.8054 0.1424 0.3049  3 O 2.24-2.31
Na: 0.8401 0.2246 0.0754  3 O 2.36-2.43
Na: 0.8576 0.1946 0.8049  3 O 2.24-2.31
Na: 0.8360 0.0000 0.9626  3 O 2.19-2.35
Ti: 0.3333 0.6667 0.1938  4 O 1.84
Ti: 0.0000 0.0000 0.2101  4 O 1.83-1.85
Ti: 0.0000 0.0000 0.7101  4 O 1.83-1.85
Ti: 0.3333 0.6667 0.6938  4 O 1.84
Ti: 0.6667 0.3333 0.6938  4 O 1.84
Ti: 0.6667 0.3333 0.1938  4 O 1.84
O: 0.0000 0.8499 0.7620  1 Ti 1.85
O: 0.0000 0.6595 0.0459  6 Na 2.28-2.47
O: 0.0000 0.6504 0.4351  6 Na 2.31-2.42
O: 0.0000 0.3496 0.9351  6 Na 2.31-2.42
O: 0.1858 0.6707 0.7435  1 Ti 1.84
O: 0.0000 0.3405 0.5459  6 Na 2.28-2.47
O: 0.3293 0.8142 0.2435  1 Ti 1.84
O: 0.0000 0.1501 0.2620  1 Ti 1.85
O: 0.1858 0.5151 0.2435  1 Ti 1.84
O: 0.3333 0.6667 0.0362  1 Ti 1.84
O: 0.3333 0.6667 0.5362  1 Ti 1.84
O: 0.0000 0.0000 0.0536  1 Ti 1.83
O: 0.0000 0.0000 0.5536  1 Ti 1.83
O: 0.3293 0.5151 0.7435  1 Ti 1.84
O: 0.1501 0.1501 0.7620  1 Ti 1.85
O: 0.4849 0.8142 0.7435  1 Ti 1.84
O: 0.3405 0.3405 0.0459  6 Na 2.28-2.47
O: 0.4849 0.6707 0.2435  1 Ti 1.84
O: 0.3496 0.3496 0.4351  6 Na 2.31-2.42
O: 0.1501 0.0000 0.2620  1 Ti 1.85
O: 0.6504 0.6504 0.9351  6 Na 2.31-2.42
O: 0.5151 0.3293 0.7435  1 Ti 1.84
O: 0.6595 0.6595 0.5459  6 Na 2.28-2.47
O: 0.3405 0.0000 0.5459  6 Na 2.28-2.47
O: 0.3496 0.0000 0.9351  6 Na 2.31-2.42
O: 0.5151 0.1858 0.2435  1 Ti 1.84
O: 0.8499 0.8499 0.2620  1 Ti 1.85
O: 0.6707 0.4849 0.2435  1 Ti 1.84
O: 0.6667 0.3333 0.5362  1 Ti 1.84
O: 0.6667 0.3333 0.0362  1 Ti 1.84
O: 0.8142 0.4849 0.7435  1 Ti 1.84
O: 0.6707 0.1858 0.7435  1 Ti 1.84
O: 0.6504 0.0000 0.4351  6 Na 2.31-2.42
O: 0.6595 0.0000 0.0459  6 Na 2.28-2.47
O: 0.8142 0.3293 0.2435  1 Ti 1.84
O: 0.8499 0.0000 0.7620  1 Ti 1.85



The least stable of the structures above is run ii, whereas run i is the most stable.